Arrangement a

{"formula": "NaH9O5", "functional": "PBE-GGA", "state": "optimized geometry", "cell": [[-0.061, 1.203, -4.253], [-7.349, 1.756, -0.794], [-1.326, 9.126, 0.842]], "species": ["O", "O", "O", "O", "O", "O", "O", "O", "O", "O", "H", "H", "H", "H", "H", "H", "H", "H", "H", "H", "H", "H", "H", "H", "H", "H", "H", "H", "Na", "Na"], "frac_coords": [[0.715, 0.486, 0.080], [0.935, 0.690, 0.296], [0.273, 0.512, 0.918], [0.654, 0.956, 0.838], [0.128, 0.324, 0.390], [0.342, 0.042, 0.158], [0.062, 0.313, 0.699], [0.871, 0.674, 0.612], [0.769, 0.152, 0.277], [0.232, 0.847, 0.721], [0.009, 0.745, 0.641], [0.086, 0.287, 0.505], [0.942, 0.221, 0.780], [0.032, 0.551, 0.324], [0.491, 0.915, 0.794], [0.997, 0.255, 0.355], [0.543, 0.493, 0.019], [0.136, 0.080, 0.212], [0.608, 0.158, 0.364], [0.265, 0.647, 0.835], [0.964, 0.451, 0.681], [0.092, 0.775, 0.266], [0.503, 0.080, 0.204], [0.896, 0.707, 0.497], [0.393, 0.845, 0.634], [0.727, 0.351, 0.165], [0.059, 0.502, 0.980], [0.859, 0.923, 0.780], [0.426, 0.243, 0.867], [0.612, 0.773, 0.106]], "e_ij_max_c_m2": 0.46, "volume_a3_per_cell": 283.50, "magmom_total_mub_per_cell": 0.00, "sg": "P1 (1)"}

---

Arrangement b

{"formula": "NaH9O5", "functional": "PBE-GGA", "state": "optimized geometry", "cell": [[-2.388, -0.534, 3.403], [-6.012, -4.524, -2.611], [1.150, -9.051, 1.691]], "species": ["O", "O", "O", "O", "O", "O", "O", "O", "O", "O", "H", "H", "H", "H", "H", "H", "H", "H", "H", "H", "H", "H", "H", "H", "H", "H", "H", "H", "Na", "Na"], "frac_coords": [[0.821, 0.112, 0.330], [0.001, 0.295, 0.681], [0.890, 0.699, 0.569], [0.285, 0.510, 0.910], [0.009, 0.676, 0.271], [0.403, 0.073, 0.119], [0.230, 0.832, 0.699], [0.110, 0.296, 0.410], [0.616, 0.941, 0.839], [0.701, 0.482, 0.087], [0.051, 0.296, 0.552], [0.836, 0.912, 0.782], [0.811, 0.987, 0.410], [0.434, 0.815, 0.629], [0.532, 0.489, 0.017], [0.067, 0.499, 0.978], [0.033, 0.161, 0.741], [0.051, 0.536, 0.310], [0.571, 0.091, 0.168], [0.712, 0.360, 0.173], [0.974, 0.700, 0.371], [0.027, 0.744, 0.622], [0.911, 0.564, 0.624], [0.461, 0.905, 0.790], [0.263, 0.647, 0.824], [0.942, 0.184, 0.376], [0.195, 0.088, 0.189], [0.343, 0.241, 0.397], [0.538, 0.764, 0.126], [0.452, 0.271, 0.816]], "e_ij_max_c_m2": 0.70, "volume_a3_per_cell": 273.73, "magmom_total_mub_per_cell": 0.00, "sg": "P1 (1)"}

---

Arrangement c

{"formula": "NaH9O5", "functional": "PBE-GGA", "state": "optimized geometry", "cell": [[-2.055, -2.467, -7.347], [-0.486, -5.779, -5.537], [-8.353, -4.336, -0.696]], "species": ["H", "H", "H", "H", "H", "H", "H", "H", "H", "H", "H", "H", "H", "H", "H", "H", "H", "H", "Na", "Na", "O", "O", "O", "O", "O", "O", "O", "O", "O", "O"], "frac_coords": [[0.930, 0.930, 0.669], [0.611, 0.004, 0.610], [0.841, 0.455, 0.797], [0.268, 0.266, 0.823], [0.734, 0.732, 0.177], [0.199, 0.199, 0.603], [0.801, 0.801, 0.397], [0.455, 0.841, 0.797], [0.389, 0.996, 0.390], [0.958, 0.958, 0.386], [0.996, 0.389, 0.390], [0.449, 0.070, 0.976], [0.545, 0.159, 0.203], [0.042, 0.042, 0.614], [0.930, 0.551, 0.024], [0.159, 0.545, 0.203], [0.004, 0.611, 0.610], [0.070, 0.070, 0.331], [0.454, 0.455, 0.859], [0.545, 0.546, 0.141], [0.225, 0.225, 0.681], [0.608, 0.608, 0.857], [0.392, 0.392, 0.143], [0.290, 0.293, 0.903], [0.775, 0.775, 0.319], [0.021, 0.021, 0.290], [0.979, 0.979, 0.710], [0.852, 0.852, 0.571], [0.148, 0.148, 0.429], [0.707, 0.710, 0.097]], "e_ij_max_c_m2": 0.08, "volume_a3_per_cell": 267.03, "sg": "C2 (5)"}

---

Winner for stability: arrangement c

---

Arrangement a

{"formula": "NaH9O5", "functional": "PBE-GGA", "state": "optimized geometry", "cell": [[-2.444, -3.173, 1.726], [0.447, -5.872, -5.297], [6.159, -6.216, 2.598]], "species": ["Na", "Na", "H", "H", "H", "H", "H", "H", "H", "H", "H", "H", "H", "H", "H", "H", "H", "H", "H", "H", "O", "O", "O", "O", "O", "O", "O", "O", "O", "O"], "frac_coords": [[0.461, 0.234, 0.861], [0.555, 0.764, 0.143], [0.545, 0.494, 0.023], [0.633, 0.142, 0.380], [0.443, 0.894, 0.807], [0.063, 0.507, 0.975], [0.085, 0.123, 0.728], [0.093, 0.454, 0.326], [0.006, 0.741, 0.640], [0.031, 0.300, 0.590], [0.371, 0.855, 0.621], [0.188, 0.094, 0.208], [0.723, 0.356, 0.170], [0.964, 0.701, 0.410], [0.553, 0.103, 0.196], [0.262, 0.645, 0.829], [0.990, 0.263, 0.357], [0.805, 0.909, 0.792], [0.941, 0.878, 0.270], [0.934, 0.544, 0.671], [0.894, 0.671, 0.601], [0.798, 0.149, 0.286], [0.992, 0.744, 0.290], [0.103, 0.328, 0.399], [0.280, 0.514, 0.907], [0.403, 0.070, 0.145], [0.201, 0.853, 0.713], [0.592, 0.928, 0.858], [0.011, 0.255, 0.710], [0.702, 0.486, 0.092]], "e_ij_max_c_m2": 0.24, "volume_a3_per_cell": 282.56, "magmom_total_mub_per_cell": 0.00, "sg": "P1 (1)"}

---

Arrangement b

{"formula": "NaH9O5", "functional": "PBE-GGA", "state": "optimized geometry", "cell": [[-3.418, -1.535, 2.240], [2.264, -7.397, 2.406], [2.753, 0.359, 8.693]], "species": ["O", "O", "O", "O", "O", "O", "O", "O", "O", "O", "H", "H", "H", "H", "H", "H", "H", "H", "H", "H", "H", "H", "H", "H", "H", "H", "H", "H", "Na", "Na"], "frac_coords": [[0.889, 0.710, 0.595], [0.158, 0.333, 0.413], [0.386, 0.020, 0.117], [0.937, 0.334, 0.720], [0.004, 0.681, 0.314], [0.581, 0.917, 0.867], [0.268, 0.511, 0.920], [0.709, 0.481, 0.091], [0.844, 0.166, 0.300], [0.188, 0.930, 0.672], [0.128, 0.466, 0.355], [0.683, 0.793, 0.601], [0.022, 0.309, 0.616], [0.800, 0.932, 0.810], [0.544, 0.489, 0.028], [0.900, 0.466, 0.689], [0.042, 0.507, 0.985], [0.937, 0.709, 0.477], [0.747, 0.355, 0.164], [0.031, 0.100, 0.240], [0.538, 0.052, 0.161], [0.331, 0.898, 0.752], [0.137, 0.830, 0.648], [0.381, 0.277, 0.382], [0.534, 0.952, 0.972], [0.250, 0.627, 0.842], [0.018, 0.793, 0.231], [0.953, 0.216, 0.356], [0.546, 0.699, 0.224], [0.412, 0.245, 0.845]], "e_ij_max_c_m2": 1.05, "volume_a3_per_cell": 290.18, "magmom_total_mub_per_cell": 0.00, "sg": "P1 (1)"}

---

Winner for stability: arrangement a

---

Arrangement a

{"formula": "Na2P3HO9", "functional": "PBE-GGA", "state": "optimized geometry", "cell": [[-0.015, 0.012, -7.188], [7.680, 0.036, -1.805], [-0.316, -7.114, 3.547]], "species": ["O", "O", "O", "O", "O", "O", "O", "O", "O", "O", "O", "O", "O", "O", "O", "O", "O", "O", "P", "P", "P", "P", "P", "P", "H", "H", "Na", "Na", "Na", "Na"], "frac_coords": [[0.273, 0.775, 0.993], [0.725, 0.397, 0.763], [0.304, 0.929, 0.314], [0.275, 0.603, 0.237], [0.962, 0.834, 0.068], [0.200, 0.071, 0.693], [0.608, 0.779, 0.980], [0.727, 0.225, 0.007], [0.038, 0.166, 0.932], [0.227, 0.356, 0.374], [0.922, 0.605, 0.234], [0.696, 0.071, 0.686], [0.392, 0.221, 0.020], [0.234, 0.666, 0.544], [0.800, 0.929, 0.307], [0.078, 0.395, 0.766], [0.766, 0.334, 0.456], [0.773, 0.644, 0.626], [0.179, 0.549, 0.370], [0.186, 0.204, 0.843], [0.814, 0.796, 0.157], [0.222, 0.794, 0.159], [0.821, 0.451, 0.630], [0.778, 0.206, 0.841], [0.468, 0.775, 0.997], [0.532, 0.225, 0.003], [0.008, 0.167, 0.348], [0.514, 0.149, 0.355], [0.486, 0.851, 0.645], [0.992, 0.833, 0.652]], "volume_a3_per_cell": 392.52, "magmom_total_mub_per_cell": 0.00, "sg": "P-1 (2)"}

---

Arrangement b

{"formula": "Na2P3HO9", "functional": "PBE-GGA", "state": "optimized geometry", "cell": [[6.789, 0.000, 0.000], [0.000, 7.269, 0.000], [-1.704, -0.318, 7.663]], "species": ["O", "O", "O", "O", "O", "O", "O", "O", "O", "O", "O", "O", "O", "O", "O", "O", "O", "O", "H", "H", "P", "P", "P", "P", "P", "P", "Na", "Na", "Na", "Na"], "frac_coords": [[0.965, 0.231, 0.596], [0.206, 0.472, 0.326], [0.415, 0.685, 0.081], [0.009, 0.978, 0.811], [0.585, 0.315, 0.919], [0.875, 0.689, 0.081], [0.125, 0.311, 0.919], [0.640, 0.980, 0.821], [0.590, 0.227, 0.598], [0.695, 0.884, 0.284], [0.794, 0.528, 0.674], [0.360, 0.020, 0.179], [0.284, 0.623, 0.641], [0.410, 0.773, 0.402], [0.305, 0.116, 0.716], [0.035, 0.769, 0.404], [0.716, 0.377, 0.359], [0.991, 0.022, 0.189], [0.204, 0.020, 0.178], [0.796, 0.980, 0.822], [0.463, 0.830, 0.224], [0.767, 0.362, 0.552], [0.095, 0.162, 0.778], [0.905, 0.838, 0.222], [0.233, 0.638, 0.448], [0.537, 0.170, 0.776], [0.088, 0.654, 0.853], [0.912, 0.346, 0.147], [0.415, 0.357, 0.155], [0.585, 0.643, 0.845]], "volume_a3_per_cell": 378.15, "magmom_total_mub_per_cell": 0.00, "sg": "P-1 (2)"}

---

Winner for stability: arrangement a

---

Arrangement a

{"formula": "Na5P3H12O16", "functional": "PBE-GGA", "state": "optimized geometry", "cell": [[7.612, 0.000, 0.000], [-0.369, 9.888, 0.000], [-0.868, -0.166, 10.416]], "species": ["Na", "Na", "Na", "Na", "Na", "Na", "Na", "Na", "Na", "Na", "H", "H", "H", "H", "H", "H", "H", "H", "H", "H", "H", "H", "H", "H", "H", "H", "H", "H", "H", "H", "H", "H", "H", "H", "P", "P", "P", "P", "P", "P", "O", "O", "O", "O", "O", "O", "O", "O", "O", "O", "O", "O", "O", "O", "O", "O", "O", "O", "O", "O", "O", "O", "O", "O", "O", "O", "O", "O", "O", "O", "O", "O"], "frac_coords": [[0.091, 0.934, 0.882], [0.770, 0.758, 0.661], [0.422, 0.550, 0.146], [0.578, 0.450, 0.854], [0.583, 0.063, 0.863], [0.049, 0.589, 0.868], [0.417, 0.937, 0.137], [0.909, 0.066, 0.118], [0.951, 0.411, 0.132], [0.230, 0.242, 0.339], [0.622, 0.748, 0.381], [0.440, 0.583, 0.604], [0.107, 0.910, 0.588], [0.388, 0.719, 0.893], [0.925, 0.511, 0.612], [0.057, 0.009, 0.380], [0.171, 0.242, 0.618], [0.440, 0.911, 0.597], [0.325, 0.765, 0.754], [0.391, 0.997, 0.378], [0.087, 0.605, 0.585], [0.620, 0.513, 0.600], [0.675, 0.235, 0.246], [0.380, 0.487, 0.400], [0.913, 0.395, 0.415], [0.612, 0.281, 0.107], [0.829, 0.758, 0.382], [0.609, 0.003, 0.622], [0.378, 0.252, 0.619], [0.943, 0.991, 0.620], [0.560, 0.417, 0.396], [0.893, 0.090, 0.412], [0.560, 0.089, 0.403], [0.075, 0.489, 0.388], [0.952, 0.266, 0.853], [0.282, 0.237, 0.005], [0.260, 0.745, 0.391], [0.718, 0.763, 0.995], [0.740, 0.255, 0.609], [0.048, 0.734, 0.147], [0.107, 0.872, 0.103], [0.447, 0.429, 0.344], [0.459, 0.071, 0.338], [0.541, 0.929, 0.662], [0.437, 0.341, 0.017], [0.745, 0.381, 0.524], [0.160, 0.244, 0.114], [0.563, 0.659, 0.983], [0.163, 0.288, 0.872], [0.598, 0.253, 0.703], [0.005, 0.410, 0.354], [0.840, 0.756, 0.886], [0.252, 0.879, 0.467], [0.972, 0.073, 0.343], [0.066, 0.731, 0.303], [0.893, 0.128, 0.897], [0.837, 0.712, 0.128], [0.402, 0.747, 0.297], [0.934, 0.269, 0.697], [0.266, 0.245, 0.562], [0.995, 0.590, 0.646], [0.334, 0.094, 0.971], [0.255, 0.619, 0.476], [0.718, 0.253, 0.163], [0.748, 0.121, 0.533], [0.282, 0.747, 0.837], [0.129, 0.610, 0.093], [0.028, 0.927, 0.657], [0.734, 0.755, 0.438], [0.871, 0.390, 0.907], [0.666, 0.906, 0.029], [0.553, 0.571, 0.656]], "volume_a3_per_cell": 783.89, "magmom_total_mub_per_cell": 0.00, "sg": "P-1 (2)"}

---

Arrangement b

{"formula": "Na5P3H12O16", "functional": "PBE-GGA", "state": "optimized geometry", "cell": [[-1.983, -3.925, -9.483], [7.690, -6.134, 1.070], [-4.677, -4.770, 3.649]], "species": ["Na", "Na", "Na", "Na", "Na", "Na", "Na", "Na", "Na", "Na", "O", "O", "O", "O", "O", "O", "O", "O", "O", "O", "O", "O", "O", "O", "O", "O", "O", "O", "O", "O", "O", "O", "O", "O", "O", "O", "O", "O", "O", "O", "O", "O", "P", "P", "P", "P", "P", "P", "H", "H", "H", "H", "H", "H", "H", "H", "H", "H", "H", "H", "H", "H", "H", "H", "H", "H", "H", "H", "H", "H", "H", "H"], "frac_coords": [[0.589, 0.049, 0.868], [0.758, 0.770, 0.661], [0.066, 0.909, 0.118], [0.937, 0.417, 0.137], [0.411, 0.951, 0.132], [0.242, 0.230, 0.339], [0.550, 0.422, 0.146], [0.934, 0.091, 0.882], [0.450, 0.578, 0.854], [0.063, 0.583, 0.863], [0.906, 0.666, 0.029], [0.872, 0.107, 0.103], [0.429, 0.447, 0.344], [0.269, 0.934, 0.697], [0.390, 0.871, 0.907], [0.253, 0.718, 0.163], [0.245, 0.266, 0.562], [0.929, 0.541, 0.662], [0.619, 0.255, 0.476], [0.121, 0.748, 0.533], [0.590, 0.995, 0.646], [0.073, 0.972, 0.343], [0.244, 0.160, 0.114], [0.610, 0.129, 0.093], [0.879, 0.252, 0.467], [0.747, 0.402, 0.297], [0.755, 0.734, 0.438], [0.927, 0.028, 0.657], [0.712, 0.837, 0.128], [0.731, 0.066, 0.303], [0.659, 0.563, 0.983], [0.253, 0.598, 0.703], [0.341, 0.437, 0.017], [0.410, 0.005, 0.354], [0.747, 0.282, 0.837], [0.381, 0.745, 0.524], [0.071, 0.459, 0.338], [0.288, 0.163, 0.872], [0.756, 0.840, 0.886], [0.571, 0.553, 0.656], [0.128, 0.893, 0.897], [0.094, 0.334, 0.971], [0.734, 0.048, 0.147], [0.255, 0.740, 0.609], [0.266, 0.952, 0.853], [0.745, 0.260, 0.391], [0.237, 0.282, 0.005], [0.763, 0.718, 0.995], [0.235, 0.675, 0.246], [0.009, 0.057, 0.380], [0.489, 0.075, 0.388], [0.997, 0.391, 0.378], [0.513, 0.620, 0.600], [0.090, 0.893, 0.412], [0.281, 0.612, 0.107], [0.511, 0.925, 0.612], [0.003, 0.609, 0.622], [0.910, 0.107, 0.588], [0.395, 0.913, 0.415], [0.089, 0.560, 0.403], [0.758, 0.829, 0.382], [0.765, 0.325, 0.754], [0.417, 0.560, 0.396], [0.748, 0.622, 0.381], [0.487, 0.380, 0.400], [0.991, 0.943, 0.620], [0.911, 0.440, 0.597], [0.605, 0.087, 0.585], [0.719, 0.388, 0.893], [0.583, 0.440, 0.604], [0.252, 0.378, 0.619], [0.242, 0.171, 0.618]], "volume_a3_per_cell": 783.89, "magmom_total_mub_per_cell": 0.01, "sg": "P-1 (2)"}

---

Winner for stability: arrangement a